(1)
Ba3CaLa2Cu6O13 | PBE-GGA | relaxed

The structure in extended XYZ format:
```
25
Lattice="3.882 -3.940 0.000 3.882 3.940 0.000 -0.105 0.000 11.930" Properties=species:S:1:pos:R:3 pbc="T T T"
Ba 0.000 0.000 0.000
Ba -0.033 0.000 4.513
Ba 3.817 0.000 0.068
Ca 3.779 0.000 8.335
La 3.841 0.000 4.828
La 7.653 0.000 8.227
Cu 1.892 1.881 2.402
Cu 1.892 -1.881 2.402
Cu 5.724 1.963 6.519
Cu 5.705 1.963 9.930
Cu 5.724 -1.963 6.519
Cu 5.705 -1.963 9.930
O 3.765 1.983 9.775
O 1.824 0.000 9.832
O 3.777 1.920 6.595
O 1.892 0.000 6.556
O 2.220 0.000 2.743
O 5.479 1.621 4.160
O 5.831 1.859 0.594
O 3.777 -1.920 6.595
O 5.670 0.000 6.711
O 5.713 0.000 9.820
O 3.765 -1.983 9.775
O 5.479 -1.621 4.160
O 5.831 -1.859 0.594
```

## Properties
symmetry: Cm (8)
total energy after the MP2020 corrections: -6.464 eV per atom
raw total energy: -6.1069 eV per atom
crystal system: monoclinic

=====

(2)
MnRe3B2 | PBE-GGA | relaxed

The structure in extended XYZ format:
```
12
Lattice="0.000 3.921 7.678 2.244 0.000 7.678 2.244 3.921 0.000" Properties=species:S:1:pos:R:3 pbc="T T T"
Mn 2.244 3.921 1.281
Mn 2.244 3.921 14.075
Re 1.122 1.960 2.531
Re 2.244 2.611 7.678
Re 1.122 1.960 5.147
Re 3.366 4.559 11.517
Re 2.244 5.231 7.678
Re 3.366 7.203 11.517
B 2.244 3.921 5.797
B 2.244 3.921 9.559
B 3.366 5.881 9.564
B 3.366 5.881 13.470
```

## Properties
symmetry: F222 (22)
raw total energy: -10.2037 eV per atom
crystal system: orthorhombic

=====

(3)
K5InPb8 | PBE-GGA | relaxed

The structure in extended XYZ format:
```
14
Lattice="3.534 2.040 12.978 -3.534 2.040 12.978 0.000 -4.081 12.978" Properties=species:S:1:pos:R:3 pbc="T T T"
K 0.000 0.000 0.000
K 0.000 0.000 7.083
K 0.000 0.000 10.908
K 0.000 0.000 28.026
K 0.000 0.000 31.852
In 0.000 0.000 19.467
Pb -1.677 -0.968 22.034
Pb 0.000 -1.937 16.901
Pb -1.677 0.968 16.901
Pb 0.000 0.000 14.467
Pb 0.000 0.000 24.467
Pb 1.677 -0.968 22.034
Pb 0.000 1.937 22.034
Pb 1.677 0.968 16.901
```

## Properties
symmetry: R-3m (166)
raw total energy: -2.9290 eV per atom
crystal system: trigonal

=====

- Look up the raw total energy of the second one.
  -10.2037 eV per atom